1.
# Na3ZnGeP3O12 PBE relaxed
data_Na3ZnGeP3O12
_cell_length_a 15.2290
_cell_length_b 8.8079
_cell_length_c 21.7291
_cell_angle_alpha 90.00
_cell_angle_beta 90.10
_cell_angle_gamma 90.00
_space_group_name_H-M_alt 'C 1 c 1'
_space_group_IT_number 9
loop_
_space_group_symop_operation_xyz
'x,y,z'
'x,-y,z+1/2'
'x+1/2,y+1/2,z'
'x+1/2,-y+1/2,z+1/2'
loop_
_atom_site_label
_atom_site_type_symbol
_atom_site_fract_x
_atom_site_fract_y
_atom_site_fract_z
Na1 Na 0.0000 0.0006 0.0000
Na2 Na 0.0036 0.3648 0.2474
Na3 Na 0.0119 0.3092 0.5808
Na4 Na 0.1712 0.4831 0.1666
Na5 Na 0.1721 0.1362 0.4145
Na6 Na 0.1787 0.1915 0.7484
Na7 Na 0.3324 0.0020 0.8334
Na8 Na 0.3369 0.3658 0.5813
Na9 Na 0.4811 0.1766 0.4144
Zn1 Zn 0.0013 0.0034 0.1456
Zn2 Zn 0.1696 0.4983 0.3123
Zn3 Zn 0.3319 0.0067 0.9790
Ge1 Ge 0.1672 0.4940 0.0134
Ge2 Ge 0.3311 0.0079 0.1802
Ge3 Ge 0.4964 0.4976 0.8468
P1 P 0.0198 0.3495 0.4108
P2 P 0.1474 0.1438 0.2453
P3 P 0.1642 0.2064 0.9098
P4 P 0.1867 0.1490 0.5772
P5 P 0.3141 0.3609 0.4120
P6 P 0.3284 0.2913 0.0781
P7 P 0.3533 0.3511 0.7431
P8 P 0.4814 0.1434 0.5773
P9 P 0.4942 0.2080 0.2443
O1 O 0.0115 0.1989 0.6873
O2 O 0.0172 0.1691 0.4066
O3 O 0.0592 0.4202 0.3535
O4 O 0.0732 0.4426 0.0729
O5 O 0.0736 0.3985 0.7512
O6 O 0.0751 0.1078 0.9078
O7 O 0.0828 0.3708 0.4701
O8 O 0.0894 0.1197 0.1903
O9 O 0.0936 0.0895 0.5840
O10 O 0.1073 0.0609 0.3056
O11 O 0.1431 0.3141 0.9673
O12 O 0.1579 0.3141 0.2526
O13 O 0.1756 0.2956 0.8511
O14 O 0.1819 0.3317 0.5750
O15 O 0.2266 0.0867 0.5191
O16 O 0.2388 0.0567 0.2404
O17 O 0.2405 0.0973 0.9170
O18 O 0.2427 0.3937 0.0731
O19 O 0.2487 0.1259 0.6366
O20 O 0.2550 0.3796 0.3578
O21 O 0.2604 0.4108 0.7506
O22 O 0.2739 0.4341 0.4734
O23 O 0.3105 0.1914 0.1379
O24 O 0.3289 0.1890 0.4188
O25 O 0.3484 0.1684 0.7404
O26 O 0.3487 0.1960 0.0229
O27 O 0.3915 0.4147 0.6846
O28 O 0.4072 0.3988 0.0854
O29 O 0.4083 0.4380 0.4066
O30 O 0.4090 0.1043 0.2404
O31 O 0.4180 0.3724 0.8007
O32 O 0.4261 0.1198 0.5201
O33 O 0.4298 0.0796 0.9184
O34 O 0.4396 0.0600 0.6366
O35 O 0.4792 0.3086 0.3045
O36 O 0.4912 0.3139 0.5848
# DFT total energy = -1508.96 eV per cell
# formation energy from the elements = -234.1 kJ per mole of atoms
# volume = 12.144 A^3/atom



2.
# CaH16O10 PBE relaxed
data_CaH16O10
_cell_length_a 6.1511
_cell_length_b 6.3074
_cell_length_c 10.9539
_cell_angle_alpha 89.55
_cell_angle_beta 88.80
_cell_angle_gamma 89.77
_space_group_name_H-M_alt 'P 1'
_space_group_IT_number 1
loop_
_space_group_symop_operation_xyz
'x,y,z'
loop_
_atom_site_label
_atom_site_type_symbol
_atom_site_fract_x
_atom_site_fract_y
_atom_site_fract_z
Ca1 Ca 0.0000 0.0000 0.0000
Ca2 Ca 0.0323 0.0009 0.4960
H1 H 0.0086 0.3366 0.6440
H2 H 0.0346 0.5576 0.1204
H3 H 0.1437 0.6960 0.2869
H4 H 0.1541 0.2848 0.7937
H5 H 0.2801 0.3843 0.9048
H6 H 0.2811 0.6204 0.1036
H7 H 0.2865 0.3752 0.6012
H8 H 0.2881 0.6143 0.4000
H9 H 0.3190 0.1426 0.2830
H10 H 0.3197 0.8757 0.7049
H11 H 0.3751 0.7263 0.8951
H12 H 0.3839 0.2723 0.1039
H13 H 0.4004 0.2819 0.3965
H14 H 0.4107 0.7163 0.6049
H15 H 0.4426 0.9664 0.8817
H16 H 0.4479 0.0302 0.1208
H17 H 0.5786 0.9755 0.3806
H18 H 0.5863 0.0270 0.6190
H19 H 0.6183 0.2664 0.8984
H20 H 0.6184 0.2756 0.6096
H21 H 0.6190 0.7227 0.1005
H22 H 0.6436 0.7379 0.4062
H23 H 0.7017 0.1269 0.7863
H24 H 0.7051 0.8583 0.2132
H25 H 0.7269 0.6136 0.8919
H26 H 0.7303 0.3853 0.1014
H27 H 0.7334 0.3831 0.4065
H28 H 0.8682 0.3030 0.2148
H29 H 0.8844 0.7034 0.7163
H30 H 0.9150 0.5889 0.5873
H31 H 0.9753 0.5503 0.8792
H32 H 0.9790 0.4504 0.3805
O1 O 0.1325 0.6829 0.1265
O2 O 0.1349 0.3177 0.8826
O3 O 0.1402 0.6790 0.3778
O4 O 0.1487 0.2662 0.6371
O5 O 0.3137 0.8714 0.8754
O6 O 0.3202 0.1286 0.1265
O7 O 0.3420 0.1360 0.3732
O8 O 0.3628 0.8701 0.6173
O9 O 0.4665 0.4757 0.5753
O10 O 0.5019 0.4979 0.4407
O11 O 0.5025 0.4991 0.9315
O12 O 0.5046 0.5002 0.0679
O13 O 0.6804 0.1216 0.8774
O14 O 0.6809 0.8667 0.1235
O15 O 0.7011 0.1391 0.6287
O16 O 0.7052 0.8755 0.3749
O17 O 0.8760 0.3198 0.1245
O18 O 0.8761 0.6753 0.8697
O19 O 0.8817 0.3236 0.3812
O20 O 0.8960 0.7265 0.6256
# DFT total energy = -272.39 eV per cell
# formation energy from the elements = -133.3 kJ per mole of atoms
# volume = 7.868 A^3/atom



3.
# Pr2Co12P7 PBE relaxed
data_Pr2Co12P7
_cell_length_a 9.0909
_cell_length_b 9.0909
_cell_length_c 3.6385
_cell_angle_alpha 90.00
_cell_angle_beta 90.00
_cell_angle_gamma 120.00
_space_group_name_H-M_alt 'P -6'
_space_group_IT_number 174
loop_
_space_group_symop_operation_xyz
'x,y,z'
'-x+y,-x,-z'
'-y,x-y,z'
'x,y,-z'
'-x+y,-x,z'
'-y,x-y,-z'
loop_
_atom_site_label
_atom_site_type_symbol
_atom_site_fract_x
_atom_site_fract_y
_atom_site_fract_z
Pr1 Pr 0.0000 0.0000 0.0000
Pr2 Pr 0.3333 0.6667 0.5000
Co1 Co 0.0467 0.7632 0.5000
Co2 Co 0.0979 0.3909 0.0000
Co3 Co 0.3973 0.2134 0.0000
Co4 Co 0.5399 0.1059 0.5000
P1 P 0.0672 0.6275 0.0000
P2 P 0.2705 0.0408 0.5000
P3 P 0.6667 0.3333 0.0000
# DFT total energy = -148.09 eV per cell
# formation energy from the elements = -70.4 kJ per mole of atoms
# volume = 12.401 A^3/atom